Run w
# MnP3O9, relaxed, DFT PBE+U
data_MnP3O9
_chemical_formula_sum 'Mn4 P12 O36'
_space_group_name_H-M_alt 'P 21 21 21'
_space_group_IT_number 19
_space_group_name_Hall 'P 2ac 2ab'
_cell_length_a 8.3892
_cell_length_b 8.4070
_cell_length_c 9.0665
_cell_angle_alpha 90.00
_cell_angle_beta 90.00
_cell_angle_gamma 90.00
loop_
_atom_site_label
_atom_site_type_symbol
_atom_site_fract_x
_atom_site_fract_y
_atom_site_fract_z
_atom_site_occupancy
Mn1 Mn 0.1390 0.1398 0.3541 1
P1 P 0.0340 0.6766 0.8052 1
P2 P 0.1742 0.5101 0.3040 1
P3 P 0.2045 0.1944 0.9430 1
O1 O 0.0436 0.2259 0.8490 1
O2 O 0.0876 0.1178 0.5891 1
O3 O 0.0894 0.5930 0.1791 1
O4 O 0.0952 0.3655 0.3714 1
O5 O 0.1373 0.8148 0.8571 1
O6 O 0.1511 0.5359 0.7465 1
O7 O 0.1604 0.1643 0.0985 1
O8 O 0.1872 0.9171 0.3573 1
O9 O 0.2115 0.6319 0.4347 1
# ρ, Mg/m³: 3.0
# Crystal system: orthorhombic

=====

Run x
# MnP3O9, relaxed, DFT PBE+U
data_MnP3O9
_chemical_formula_sum 'Mn4 P12 O36'
_space_group_name_H-M_alt 'P -1'
_space_group_IT_number 2
_space_group_name_Hall '-P 1'
_cell_length_a 9.5286
_cell_length_b 9.5504
_cell_length_c 9.5896
_cell_angle_alpha 106.77
_cell_angle_beta 106.19
_cell_angle_gamma 111.68
loop_
_atom_site_label
_atom_site_type_symbol
_atom_site_fract_x
_atom_site_fract_y
_atom_site_fract_z
_atom_site_occupancy
Mn1 Mn 0.1121 0.2934 0.2081 1
Mn2 Mn 0.2653 0.7684 0.7176 1
P1 P 0.0071 0.3924 0.6463 1
P2 P 0.0561 0.7955 0.1668 1
P3 P 0.1820 0.0877 0.9196 1
P4 P 0.3067 0.4299 0.5919 1
P5 P 0.4297 0.6707 0.3056 1
P6 P 0.4882 0.8470 0.0980 1
O1 O 0.0032 0.3747 0.8036 1
O2 O 0.0286 0.7293 0.9910 1
O3 O 0.0564 0.5744 0.6800 1
O4 O 0.0986 0.1708 0.8259 1
O5 O 0.1017 0.9008 0.8095 1
O6 O 0.1505 0.3499 0.6331 1
O7 O 0.1550 0.7374 0.5008 1
O8 O 0.1875 0.1375 0.0847 1
O9 O 0.2196 0.9307 0.2929 1
O10 O 0.2523 0.3220 0.4158 1
O11 O 0.2646 0.5173 0.2531 1
O12 O 0.3614 0.8182 0.9430 1
O13 O 0.3652 0.6133 0.6488 1
O14 O 0.3675 0.1843 0.9350 1
O15 O 0.4002 0.6990 0.1388 1
O16 O 0.4336 0.9840 0.7607 1
O17 O 0.4365 0.3984 0.7043 1
O18 O 0.4954 0.8232 0.4498 1
# ρ, Mg/m³: 2.8
# Crystal system: triclinic

=====

run w ends up most stable, edging out the next structure by 49 meV/atom.